(1)
DFT (GGA+U) results for Li4Mn2V5O12 after structural relaxation.

a b c (Å): 5.3207 9.0287 9.9078
angles (deg): 90.00 99.49 90.00
Closest atoms and distances in Å follow each position.
Positions (direct):
Li 0.0003 0.0000 0.2416  6 O 2.14-2.30
Li 0.9997 0.5000 0.7584  6 O 2.14-2.30
Li 0.0191 0.8314 0.7586  5 O 2.04-2.26
Li 0.2585 0.9962 0.9971  6 O 2.10-2.27
Li 0.4866 0.8314 0.2393  5 O 2.03-2.26
Li 0.5134 0.3314 0.7607  5 O 2.03-2.26
Li 0.7415 0.4962 0.0029  6 O 2.10-2.27
Li 0.9809 0.3314 0.2414  5 O 2.04-2.26
Mn 0.2593 0.6646 0.0055  4 O 1.96-1.99
Mn 0.2649 0.1566 0.5136  5 O 2.14-2.22
Mn 0.7351 0.6566 0.4864  5 O 2.14-2.22
Mn 0.7407 0.1646 0.9945  4 O 1.96-1.99
V 0.0025 0.1583 0.7595  6 O 1.99-2.20
V 0.2461 0.3360 0.0056  6 O 1.97-2.13
V 0.2475 0.8304 0.5016  6 O 1.99-2.18
V 0.2518 0.4897 0.5000  6 O 1.98-2.15
V 0.4979 0.1654 0.2446  6 O 1.99-2.17
V 0.5021 0.6654 0.7554  6 O 1.99-2.17
V 0.7482 0.9897 0.5000  6 O 1.98-2.15
V 0.7525 0.3304 0.4984  6 O 1.99-2.18
V 0.7539 0.8360 0.9944  6 O 1.97-2.13
V 0.9975 0.6583 0.2405  6 O 1.99-2.20
O 0.0894 0.9864 0.6165  3 V 1.98-2.20, 1 Li 2.06, 1 Mn 2.14
O 0.1024 0.3260 0.6234  3 V 2.06-2.15, 1 Mn 2.14, 1 Li 2.19
O 0.1133 0.5114 0.1140  1 Mn 1.99, 2 V 1.99-2.10, 1 Li 2.10
O 0.1228 0.8194 0.1144  1 Mn 1.98, 2 V 2.10-2.13, 2 Li 2.12-2.17
O 0.1517 0.1805 0.1333  2 V 1.99-2.01, 2 Li 2.04-2.18
O 0.1535 0.6559 0.6243  3 V 2.06-2.10, 2 Li 2.19-2.26
O 0.3355 0.6674 0.3792  3 V 2.01-2.09, 1 Mn 2.22
O 0.3415 0.1893 0.8758  2 V 1.97-1.99, 2 Li 2.03-2.20
O 0.3638 0.5077 0.8885  1 Mn 1.97, 2 V 2.09-2.15, 2 Li 2.14
O 0.3783 0.8096 0.8834  1 Mn 1.96, 2 V 2.00-2.13, 2 Li 2.11-2.18
O 0.3954 0.9970 0.3759  3 V 2.07-2.18, 2 Li 2.13-2.30, 1 Mn 2.18
O 0.4003 0.3248 0.3919  3 V 1.99-2.17, 1 Mn 2.14
O 0.5997 0.8248 0.6081  3 V 1.99-2.17, 1 Mn 2.14
O 0.6046 0.4970 0.6241  3 V 2.07-2.18, 2 Li 2.13-2.30, 1 Mn 2.18
O 0.6217 0.3096 0.1166  1 Mn 1.96, 2 V 2.00-2.13, 2 Li 2.11-2.18
O 0.6362 0.0077 0.1115  1 Mn 1.97, 2 V 2.09-2.15, 2 Li 2.14
O 0.6585 0.6893 0.1242  2 V 1.97-1.99, 2 Li 2.03-2.20
O 0.6645 0.1674 0.6208  3 V 2.01-2.09, 1 Mn 2.22
O 0.8465 0.1559 0.3757  3 V 2.06-2.10, 2 Li 2.19-2.26
O 0.8483 0.6805 0.8667  2 V 1.99-2.01, 2 Li 2.04-2.18
O 0.8772 0.3194 0.8856  1 Mn 1.98, 2 V 2.10-2.13, 2 Li 2.12-2.17
O 0.8867 0.0114 0.8860  1 Mn 1.99, 2 V 1.99-2.10, 1 Li 2.10
O 0.8976 0.8260 0.3766  3 V 2.06-2.15, 1 Mn 2.14, 1 Li 2.19
O 0.9106 0.4864 0.3835  3 V 1.98-2.20, 1 Li 2.06, 1 Mn 2.14

Space-group type: P2_1 (4)
Energy relative to the elements: -54.12 eV per formula unit
Energy: -164.8 eV per formula unit


(2)
DFT (GGA+U) results for Sr2MnRuO6 after structural relaxation.

a b c (Å): 5.7156 5.7156 5.7156
angles (deg): 122.62 122.62 85.52
Closest atoms and distances in Å follow each position.
Positions (direct):
Sr 0.2500 0.7500 0.5000  8 O 2.63-2.75
Sr 0.7500 0.2500 0.5000  8 O 2.63-2.75
Mn 0.0000 0.0000 0.0000  4 O 1.96
Ru 0.5000 0.5000 0.0000  6 O 1.96-1.99
O 0.2012 0.2943 0.4955  1 Mn 1.96, 1 Ru 1.99
O 0.2660 0.2660 0.0000  1 Ru 1.96
O 0.2943 0.7988 0.0931  1 Mn 1.96, 1 Ru 1.99
O 0.7057 0.2012 0.9069  1 Mn 1.96, 1 Ru 1.99
O 0.7340 0.7340 0.0000  1 Ru 1.96
O 0.7988 0.7057 0.5045  1 Mn 1.96, 1 Ru 1.99

Space-group type: I4/m (87)
Energy relative to the elements: -23.60 eV per formula unit
Energy: -69.3 eV per formula unit


(3)
DFT (GGA+U) results for KVOF3 after structural relaxation.

a b c (Å): 7.3598 7.6814 13.4285
angles (deg): 90.00 90.00 90.00
Closest atoms and distances in Å follow each position.
Positions (direct):
K 0.0906 0.2500 0.1029  7 F 2.74-2.94, 2 O 2.84
K 0.1744 0.7500 0.1448  6 F 2.74-2.97, 2 O 2.89
K 0.3256 0.2500 0.6448  6 F 2.74-2.97, 2 O 2.89
K 0.4094 0.7500 0.6029  7 F 2.74-2.94, 2 O 2.84
K 0.5906 0.2500 0.3971  7 F 2.74-2.94, 2 O 2.84
K 0.6744 0.7500 0.3552  6 F 2.74-2.97, 2 O 2.89
K 0.8256 0.2500 0.8552  6 F 2.74-2.97, 2 O 2.89
K 0.9094 0.7500 0.8971  7 F 2.74-2.94, 2 O 2.84
V 0.1357 0.0041 0.3970  1 O 1.64
V 0.1357 0.4959 0.3970  1 O 1.64
V 0.3643 0.5041 0.8970  1 O 1.64
V 0.3643 0.9959 0.8970  1 O 1.64
V 0.6357 0.0041 0.1030  1 O 1.64
V 0.6357 0.4959 0.1030  1 O 1.64
V 0.8643 0.5041 0.6030  1 O 1.64
V 0.8643 0.9959 0.6030  1 O 1.64
O 0.1189 0.0417 0.2772  1 V 1.64
O 0.1189 0.4583 0.2772  1 V 1.64
O 0.3811 0.5417 0.7772  1 V 1.64
O 0.3811 0.9583 0.7772  1 V 1.64
O 0.6189 0.0417 0.2228  1 V 1.64
O 0.6189 0.4583 0.2228  1 V 1.64
O 0.8811 0.5417 0.7228  1 V 1.64
O 0.8811 0.9583 0.7228  1 V 1.64
F 0.0734 0.7500 0.3885  2 V 2.01
F 0.1152 0.0525 0.9164  1 V 1.90
F 0.1152 0.4475 0.9164  1 V 1.90
F 0.1230 0.5356 0.5597  2 V 2.01-2.21
F 0.1230 0.9644 0.5597  2 V 2.01-2.21
F 0.1992 0.2500 0.4399  2 V 2.03
F 0.3008 0.7500 0.9399  2 V 2.03
F 0.3770 0.0356 0.0597  2 V 2.01-2.21
F 0.3770 0.4644 0.0597  2 V 2.01-2.21
F 0.3848 0.5525 0.4164  1 V 1.90
F 0.3848 0.9475 0.4164  1 V 1.90
F 0.4266 0.2500 0.8885  2 V 2.01
F 0.5734 0.7500 0.1115  2 V 2.01
F 0.6152 0.0525 0.5836  1 V 1.90
F 0.6152 0.4475 0.5836  1 V 1.90
F 0.6230 0.5356 0.9403  2 V 2.01-2.21
F 0.6230 0.9644 0.9403  2 V 2.01-2.21
F 0.6992 0.2500 0.0601  2 V 2.03
F 0.8008 0.7500 0.5601  2 V 2.03
F 0.8770 0.0356 0.4403  2 V 2.01-2.21
F 0.8770 0.4644 0.4403  2 V 2.01-2.21
F 0.8848 0.5525 0.0836  1 V 1.90
F 0.8848 0.9475 0.0836  1 V 1.90
F 0.9266 0.2500 0.6115  2 V 2.01

Space-group type: Pnma (62)
Energy relative to the elements: -17.89 eV per formula unit
Energy: -35.0 eV per formula unit


(4)
DFT (GGA+U) results for K3FeH3C6O12 after structural relaxation.

a b c (Å): 7.4643 20.9748 10.8159
angles (deg): 90.00 105.91 90.00
Closest atoms and distances in Å follow each position.
Positions (direct):
K 0.0197 0.0902 0.3251  4 O 2.67-2.78, 1 H 2.79
K 0.0197 0.4098 0.8251  4 O 2.67-2.78, 1 H 2.79
K 0.2460 0.0796 0.7478  6 O 2.85-3.03, 2 H 3.12-3.15
K 0.2460 0.4204 0.2478  6 O 2.85-3.03, 2 H 3.12-3.15
K 0.4661 0.0889 0.1764  4 O 2.65-2.73, 1 H 2.70
K 0.4661 0.4111 0.6764  4 O 2.65-2.73, 1 H 2.70
K 0.5339 0.5889 0.3236  4 O 2.65-2.73, 1 H 2.70
K 0.5339 0.9111 0.8236  4 O 2.65-2.73, 1 H 2.70
K 0.7540 0.5796 0.7522  6 O 2.85-3.03, 2 H 3.12-3.15
K 0.7540 0.9204 0.2522  6 O 2.85-3.03, 2 H 3.12-3.15
K 0.9803 0.5902 0.1749  4 O 2.67-2.78, 1 H 2.79
K 0.9803 0.9098 0.6749  4 O 2.67-2.78, 1 H 2.79
Fe 0.2501 0.6316 0.7511  6 O 2.01-2.13
Fe 0.2501 0.8684 0.2511  6 O 2.01-2.13
Fe 0.7499 0.1316 0.7489  6 O 2.01-2.13
Fe 0.7499 0.3684 0.2489  6 O 2.01-2.13
H 0.1012 0.1870 0.5460  1 O 2.46
H 0.1012 0.3130 0.0460  1 O 2.46
H 0.2425 0.0016 0.2431  4 O 2.32-2.44
H 0.2425 0.4984 0.7431  4 O 2.32-2.44
H 0.4297 0.1809 0.9591  1 O 2.59
H 0.4297 0.3191 0.4591  1 O 2.59
H 0.5703 0.6809 0.5409  1 O 2.59
H 0.5703 0.8191 0.0409  1 O 2.59
H 0.7575 0.5016 0.2569  4 O 2.32-2.44
H 0.7575 0.9984 0.7569  4 O 2.32-2.44
H 0.8988 0.6870 0.9540  1 O 2.46
H 0.8988 0.8130 0.4540  1 O 2.46
C 0.0331 0.5855 0.5077  2 O 1.24-1.29
C 0.0331 0.9145 0.0077  2 O 1.24-1.29
C 0.1525 0.7414 0.2949  2 O 1.24-1.30
C 0.1525 0.7586 0.7949  2 O 1.24-1.30
C 0.2355 0.5640 0.5142  2 O 1.25-1.29
C 0.2355 0.9360 0.0142  2 O 1.25-1.29
C 0.2704 0.5586 0.9831  2 O 1.25-1.29
C 0.2704 0.9414 0.4831  2 O 1.25-1.29
C 0.2969 0.7361 0.2146  2 O 1.24-1.30
C 0.2969 0.7639 0.7146  2 O 1.24-1.30
C 0.4702 0.5845 0.9921  2 O 1.24-1.30
C 0.4702 0.9155 0.4921  2 O 1.24-1.30
C 0.5298 0.0845 0.5079  2 O 1.24-1.30
C 0.5298 0.4155 0.0079  2 O 1.24-1.30
C 0.7031 0.2361 0.2854  2 O 1.24-1.30
C 0.7031 0.2639 0.7854  2 O 1.24-1.30
C 0.7296 0.0586 0.5169  2 O 1.25-1.29
C 0.7296 0.4414 0.0169  2 O 1.25-1.29
C 0.7645 0.0640 0.9858  2 O 1.25-1.29
C 0.7645 0.4360 0.4858  2 O 1.25-1.29
C 0.8475 0.2414 0.2051  2 O 1.24-1.30
C 0.8475 0.2586 0.7051  2 O 1.24-1.30
C 0.9670 0.0855 0.9923  2 O 1.24-1.29
C 0.9670 0.4145 0.4923  2 O 1.24-1.29
O 0.0141 0.6119 0.6117  1 C 1.29
O 0.0141 0.8881 0.1117  1 C 1.29
O 0.0782 0.6930 0.3239  1 C 1.24
O 0.0782 0.8070 0.8239  1 C 1.24
O 0.0962 0.0763 0.0910  1 C 1.24
O 0.0962 0.4237 0.5910  1 C 1.24
O 0.1218 0.7004 0.8250  1 C 1.30
O 0.1218 0.7996 0.3250  1 C 1.30
O 0.1489 0.5709 0.8750  1 C 1.29
O 0.1489 0.9291 0.3750  1 C 1.29
O 0.2400 0.5287 0.0751  1 C 1.25
O 0.2400 0.9713 0.5751  1 C 1.25
O 0.2677 0.5354 0.4212  1 C 1.25
O 0.2677 0.9646 0.9212  1 C 1.25
O 0.3437 0.6828 0.1842  1 C 1.24
O 0.3437 0.8172 0.6842  1 C 1.24
O 0.3570 0.7093 0.6862  1 C 1.30
O 0.3570 0.7907 0.1862  1 C 1.30
O 0.3577 0.5782 0.6210  1 C 1.29
O 0.3577 0.9218 0.1210  1 C 1.29
O 0.4009 0.0772 0.4082  1 C 1.24
O 0.4009 0.4228 0.9082  1 C 1.24
O 0.4869 0.6122 0.8886  1 C 1.30
O 0.4869 0.8878 0.3886  1 C 1.30
O 0.5131 0.1122 0.6114  1 C 1.30
O 0.5131 0.3878 0.1114  1 C 1.30
O 0.5991 0.5772 0.0918  1 C 1.24
O 0.5991 0.9228 0.5918  1 C 1.24
O 0.6423 0.0782 0.8790  1 C 1.29
O 0.6423 0.4218 0.3790  1 C 1.29
O 0.6430 0.2093 0.8138  1 C 1.30
O 0.6430 0.2907 0.3138  1 C 1.30
O 0.6563 0.1828 0.3158  1 C 1.24
O 0.6563 0.3172 0.8158  1 C 1.24
O 0.7323 0.0354 0.0788  1 C 1.25
O 0.7323 0.4646 0.5788  1 C 1.25
O 0.7600 0.0287 0.4249  1 C 1.25
O 0.7600 0.4713 0.9249  1 C 1.25
O 0.8511 0.0709 0.6250  1 C 1.29
O 0.8511 0.4291 0.1250  1 C 1.29
O 0.8782 0.2004 0.6750  1 C 1.30
O 0.8782 0.2996 0.1750  1 C 1.30
O 0.9038 0.5763 0.4090  1 C 1.24
O 0.9038 0.9237 0.9090  1 C 1.24
O 0.9218 0.1930 0.1761  1 C 1.24
O 0.9218 0.3070 0.6761  1 C 1.24
O 0.9859 0.1119 0.8883  1 C 1.29
O 0.9859 0.3881 0.3883  1 C 1.29

Space-group type: P2_1/c (14)
Energy relative to the elements: -27.48 eV per formula unit
Energy: -153.7 eV per formula unit


(5)
DFT (GGA+U) results for Ca2SbWO6 after structural relaxation.

a b c (Å): 5.9310 5.9310 5.9310
angles (deg): 60.00 60.00 60.00
Closest atoms and distances in Å follow each position.
Positions (direct):
Ca 0.2500 0.2500 0.2500  12 O 2.97
Ca 0.7500 0.7500 0.7500  12 O 2.97
Sb 0.0000 0.0000 0.0000  6 O 2.21
W 0.5000 0.5000 0.5000  6 O 1.98
O 0.2638 0.2638 0.7362  1 W 1.98, 1 Sb 2.21
O 0.2638 0.7362 0.2638  1 W 1.98, 1 Sb 2.21
O 0.2638 0.7362 0.7362  1 W 1.98, 1 Sb 2.21
O 0.7362 0.2638 0.2638  1 W 1.98, 1 Sb 2.21
O 0.7362 0.2638 0.7362  1 W 1.98, 1 Sb 2.21
O 0.7362 0.7362 0.2638  1 W 1.98, 1 Sb 2.21

Space-group type: Fm-3m (225)
Energy relative to the lowest polymorph listed for this composition: 323.4 meV/atom
Energy relative to the elements: -22.06 eV per formula unit
Energy: -64.3 eV per formula unit


(6)
DFT (GGA+U) results for Sr2MnNbO6 after structural relaxation.

a b c (Å): 5.7661 9.7861 9.7686
angles (deg): 101.09 88.03 75.34
Closest atoms and distances in Å follow each position.
Positions (direct):
Sr 0.5642 0.8761 0.8120  8 O 2.59-2.88
Sr 0.9357 0.1240 0.6881  8 O 2.59-2.88
Sr 0.3144 0.3762 0.5619  8 O 2.60-2.88
Sr 0.1857 0.6239 0.9381  8 O 2.59-2.88
Sr 0.6858 0.6238 0.4381  8 O 2.59-2.88
Sr 0.8143 0.3761 0.0619  8 O 2.59-2.88
Sr 0.4358 0.1238 0.1880  8 O 2.59-2.88
Sr 0.0644 0.8760 0.3119  8 O 2.59-2.88
O 0.5597 0.3731 0.8133  1 Mn 1.96, 1 Nb 2.02
O 0.6906 0.1269 0.4366  1 Mn 1.96, 1 Nb 2.02
O 0.4403 0.6270 0.1867  1 Mn 1.96, 1 Nb 2.02
O 0.9451 0.6382 0.2216  1 Nb 1.99, 1 Mn 2.23
O 0.9878 0.1065 0.2010  1 Mn 1.96, 1 Nb 2.03
O 0.7378 0.6066 0.9511  1 Mn 1.96, 1 Nb 2.03
O 0.2621 0.3936 0.0489  1 Mn 1.96, 1 Nb 2.03
O 0.5123 0.8934 0.2990  1 Mn 1.96, 1 Nb 2.03
O 0.8047 0.8619 0.5286  1 Nb 1.99
O 0.0597 0.3729 0.3133  1 Mn 1.96, 1 Nb 2.02
O 0.4452 0.6382 0.7215  1 Nb 1.99
O 0.8095 0.8730 0.0633  1 Mn 1.96, 1 Nb 2.02
O 0.0548 0.3618 0.7784  1 Nb 1.99, 1 Mn 2.23
O 0.0123 0.8935 0.7990  1 Mn 1.96, 1 Nb 2.03
O 0.3095 0.8731 0.5634  1 Mn 1.96, 1 Nb 2.02
O 0.2377 0.6066 0.4511  1 Mn 1.96, 1 Nb 2.03
O 0.7624 0.3934 0.5489  1 Mn 1.96, 1 Nb 2.03
O 0.6953 0.1381 0.9714  1 Nb 1.99
O 0.1904 0.1270 0.9366  1 Mn 1.96, 1 Nb 2.02
O 0.1953 0.1381 0.4715  1 Nb 1.99
O 0.5548 0.3618 0.2784  1 Nb 1.99
O 0.4876 0.1067 0.7010  1 Mn 1.96, 1 Nb 2.03
O 0.3046 0.8618 0.0285  1 Nb 1.99
O 0.9403 0.6270 0.6867  1 Mn 1.96, 1 Nb 2.02
Mn 0.1249 0.7501 0.6251  4 O 1.96
Mn 0.8749 0.2500 0.3750  4 O 1.96
Mn 0.6252 0.7499 0.1251  4 O 1.96
Mn 0.3747 0.2501 0.8748  4 O 1.96
Nb 0.5000 0.0000 0.5000  6 O 1.99-2.03
Nb 0.7500 0.5001 0.7500  6 O 1.99-2.03
Nb 0.2501 0.5000 0.2500  6 O 1.99-2.03
Nb 0.0001 0.0001 0.0000  6 O 1.99-2.03

Energy relative to the elements: -29.95 eV per formula unit
Energy: -76.5 eV per formula unit